Zn2CrN2 after structural relaxation. Source: the Materials Project, functional PBE.

```
Zn2CrN2
1.0
5.0452 -2.2946 0.0000
5.0452 2.2946 0.0000
-3.2419 0.0000 5.2676
Zn Cr N
4 2 4
direct
0.0602 0.0602 0.3105
0.2933 0.2933 0.2507
0.7067 0.7067 0.7493
0.9398 0.9398 0.6895
0.3571 0.3571 0.8455
0.6429 0.6429 0.1545
0.1568 0.1568 0.7168
0.4699 0.4699 0.1903
0.5301 0.5301 0.8097
0.8432 0.8432 0.2832
```

Computed properties:
volume: 12.2 A^3/atom
MP2020-corrected energy: -5.77 eV/atom
formation energy: 0.00 eV/atom

=====

SbBrO after structural relaxation. Source: the Materials Project, functional PBE.

```
SbBrO
1.0
8.4555 0.0000 0.0000
0.0000 11.6330 0.0000
-2.0914 0.0000 9.5258
Sb Br O
12 12 12
direct
0.0241 0.1736 0.2415
0.0241 0.3264 0.7415
0.2077 0.5314 0.0653
0.2077 0.9686 0.5653
0.3921 0.7480 0.3908
0.3921 0.7520 0.8908
0.6079 0.2480 0.1092
0.6079 0.2520 0.6092
0.7923 0.0314 0.4347
0.7923 0.4686 0.9347
0.9759 0.6736 0.2585
0.9759 0.8264 0.7585
0.0975 0.1345 0.8760
0.0975 0.3655 0.3760
0.3750 0.5987 0.5879
0.3750 0.9013 0.0879
0.3966 0.1124 0.3529
0.3966 0.3876 0.8529
0.6034 0.6124 0.1471
0.6034 0.8876 0.6471
0.6250 0.0987 0.9121
0.6250 0.4013 0.4121
0.9025 0.6345 0.6240
0.9025 0.8655 0.1240
0.0287 0.0722 0.4138
0.0287 0.4278 0.9138
0.2054 0.6600 0.9300
0.2054 0.8400 0.4300
0.2157 0.6616 0.2491
0.2157 0.8384 0.7491
0.7843 0.1616 0.2509
0.7843 0.3384 0.7509
0.7946 0.1600 0.5700
0.7946 0.3400 0.0700
0.9713 0.5722 0.0862
0.9713 0.9278 0.5862
```

Computed properties:
energy relative to the lowest polymorph listed for this composition: 0.00 eV per formula unit
volume: 26.0 A^3/atom
MP2020-corrected energy: -4.85 eV/atom
formation energy: -1.28 eV/atom

=====

Th4P6O23 after structural relaxation. Source: the Materials Project, functional PBE.

```
Th4P6O23
1.0
10.5489 0.0000 0.0000
0.0000 7.1965 0.0000
-0.1103 0.0000 12.8772
Th P O
8 12 46
direct
0.0069 0.2500 0.4119
0.0097 0.7500 0.0864
0.4781 0.2500 0.1867
0.4780 0.7500 0.3134
0.5220 0.2500 0.6866
0.5219 0.7500 0.8133
0.9903 0.2500 0.9136
0.9931 0.7500 0.5881
0.1267 0.2500 0.1358
0.1286 0.7500 0.3662
0.2242 0.0420 0.7423
0.2242 0.4580 0.7423
0.3713 0.2500 0.4191
0.3715 0.7500 0.0794
0.6285 0.2500 0.9206
0.6287 0.7500 0.5809
0.7758 0.5420 0.2577
0.7758 0.9580 0.2577
0.8714 0.2500 0.6338
0.8733 0.7500 0.8642
0.0715 0.2500 0.2452
0.0711 0.7500 0.2563
0.0779 0.0820 0.0702
0.0779 0.4180 0.0702
0.0809 0.5819 0.4313
0.0809 0.9181 0.4313
0.1529 0.5591 0.6574
0.1529 0.9409 0.6574
0.1553 0.0594 0.8443
0.1553 0.4406 0.8443
0.2301 0.2500 0.4399
0.2298 0.7500 0.0578
0.2516 0.2500 0.6954
0.2713 0.2500 0.1421
0.2736 0.7500 0.3591
0.3634 0.5239 0.7546
0.3634 0.9761 0.7546
0.4138 0.0813 0.3502
0.4138 0.4187 0.3502
0.4147 0.5828 0.1496
0.4147 0.9172 0.1496
0.4453 0.7500 0.9762
0.4476 0.2500 0.5229
0.5524 0.7500 0.4771
0.5547 0.2500 0.0238
0.5853 0.0828 0.8504
0.5853 0.4172 0.8504
0.5862 0.5813 0.6498
0.5862 0.9187 0.6498
0.6366 0.0239 0.2454
0.6366 0.4761 0.2454
0.7264 0.2500 0.6409
0.7287 0.7500 0.8579
0.7484 0.7500 0.3046
0.7702 0.2500 0.9422
0.7699 0.7500 0.5601
0.8447 0.5594 0.1557
0.8447 0.9406 0.1557
0.8471 0.0591 0.3426
0.8471 0.4409 0.3426
0.9191 0.0819 0.5687
0.9191 0.4181 0.5687
0.9221 0.5820 0.9298
0.9221 0.9180 0.9298
0.9289 0.2500 0.7437
0.9285 0.7500 0.7548
```

Computed properties:
volume: 14.8 A^3/atom
MP2020-corrected energy: -8.72 eV/atom
formation energy: -3.39 eV/atom

=====

ThZr2U2O10 after structural relaxation. Source: the Materials Project, functional PBE.

```
ThZr2U2O10
1.0
1.9003 1.0971 15.3504
-1.9003 1.0971 15.3504
0.0000 -2.1943 15.3504
Th Zr U O
1 2 2 10
direct
0.0000 0.0000 0.0000
0.2053 0.2053 0.2053
0.5992 0.5992 0.5992
0.4051 0.4051 0.4051
0.8064 0.8064 0.8064
0.0545 0.0545 0.0545
0.1571 0.1571 0.1571
0.2517 0.2517 0.2517
0.3522 0.3522 0.3522
0.4563 0.4563 0.4563
0.5530 0.5530 0.5530
0.6477 0.6477 0.6477
0.7555 0.7555 0.7555
0.8574 0.8574 0.8574
0.9470 0.9470 0.9470
```

Computed properties:
volume: 12.8 A^3/atom
MP2020-corrected energy: -10.27 eV/atom
formation energy: -3.83 eV/atom

=====

Ca2B6O11 after structural relaxation. Source: the Materials Project, functional PBE.

```
Ca2B6O11
1.0
8.6575 0.0000 0.0000
0.0000 10.8206 0.0000
-3.2177 0.0000 8.1477
Ca B O
8 24 44
direct
0.0243 0.0083 0.2792
0.0243 0.4917 0.7792
0.4151 0.1611 0.6383
0.4151 0.3389 0.1383
0.5849 0.6611 0.8617
0.5849 0.8389 0.3617
0.9757 0.5083 0.2208
0.9757 0.9917 0.7208
0.0082 0.2500 0.4871
0.0082 0.2500 0.9871
0.1953 0.2375 0.3065
0.1953 0.2625 0.8065
0.2410 0.6156 0.6209
0.2410 0.8844 0.1209
0.2857 0.6557 0.1016
0.2857 0.8443 0.6016
0.2876 0.0638 0.9613
0.2876 0.4362 0.4613
0.4157 0.0802 0.2666
0.4157 0.4198 0.7666
0.5843 0.5802 0.2334
0.5843 0.9198 0.7334
0.7124 0.5638 0.5387
0.7124 0.9362 0.0387
0.7143 0.1557 0.3984
0.7143 0.3443 0.8984
0.7590 0.1156 0.8791
0.7590 0.3844 0.3791
0.8047 0.7375 0.1935
0.8047 0.7625 0.6935
0.9918 0.7500 0.0129
0.9918 0.7500 0.5129
0.0706 0.2010 0.1533
0.0706 0.2990 0.6533
0.0810 0.6520 0.6245
0.0810 0.8480 0.1245
0.1151 0.6350 0.0303
0.1151 0.8650 0.5303
0.1417 0.1947 0.4422
0.1417 0.3053 0.9422
0.2216 0.5505 0.4638
0.2216 0.9495 0.9638
0.2249 0.1238 0.8093
0.2249 0.3762 0.3093
0.3271 0.5356 0.7641
0.3271 0.9644 0.2641
0.3464 0.7263 0.6385
0.3464 0.7737 0.1385
0.3605 0.1795 0.3460
0.3605 0.3205 0.8460
0.3986 0.1198 0.0971
0.3986 0.3802 0.5971
0.3990 0.5589 0.1384
0.3990 0.9410 0.6384
0.6010 0.0590 0.3616
0.6010 0.4410 0.8616
0.6014 0.6198 0.4029
0.6014 0.8802 0.9029
0.6395 0.6795 0.1540
0.6395 0.8205 0.6540
0.6536 0.2263 0.8615
0.6536 0.2737 0.3615
0.6729 0.0356 0.7359
0.6729 0.4644 0.2359
0.7751 0.6238 0.6907
0.7751 0.8762 0.1907
0.7784 0.0505 0.0362
0.7784 0.4495 0.5362
0.8583 0.6947 0.0578
0.8583 0.8053 0.5578
0.8849 0.1350 0.4697
0.8849 0.3650 0.9697
0.9190 0.1520 0.8755
0.9190 0.3480 0.3755
0.9294 0.7010 0.3467
0.9294 0.7990 0.8467
```

Computed properties:
volume: 10.0 A^3/atom
MP2020-corrected energy: -8.25 eV/atom
formation energy: -3.07 eV/atom

=====

ICl2 after structural relaxation. Source: the Materials Project, functional PBE.

```
ICl2
1.0
7.9600 0.0000 0.0000
0.0000 7.9600 0.0000
0.0000 0.0000 4.3507
I Cl
2 4
direct
0.0000 0.0000 0.0000
0.5000 0.5000 0.5000
0.1435 0.1435 0.5000
0.3565 0.6435 0.0000
0.6435 0.3565 0.0000
0.8565 0.8565 0.5000
```

Computed properties:
volume: 45.9 A^3/atom
MP2020-corrected energy: -2.14 eV/atom
formation energy: -0.40 eV/atom

=====

LaPm3 after structural relaxation. Source: the Materials Project, functional PBE.

```
LaPm3
1.0
7.4184 0.0000 0.0000
-3.7092 6.4245 0.0000
0.0000 0.0000 5.9773
La Pm
2 6
direct
0.3333 0.6667 0.2500
0.6667 0.3333 0.7500
0.1659 0.3318 0.7500
0.1659 0.8341 0.7500
0.3318 0.1659 0.2500
0.6682 0.8341 0.7500
0.8341 0.1659 0.2500
0.8341 0.6682 0.2500
```

Computed properties:
volume: 35.6 A^3/atom
formation energy: 0.03 eV/atom

=====

CaLaO3 after structural relaxation. Source: the Materials Project, functional PBE.

```
CaLaO3
1.0
4.5047 0.0000 0.0000
0.0000 4.5047 0.0000
0.0000 0.0000 4.5047
Ca La O
1 1 3
direct
0.0000 0.0000 0.0000
0.5000 0.5000 0.5000
0.0000 0.5000 0.5000
0.5000 0.0000 0.5000
0.5000 0.5000 0.0000
```

Computed properties:
volume: 18.3 A^3/atom
MP2020-corrected energy: -7.02 eV/atom
formation energy: -2.67 eV/atom

=====

CoMo after structural relaxation. Source: the Materials Project, functional PBE.

```
CoMo
1.0
2.3887 1.3791 17.1408
-2.3887 1.3791 17.1408
0.0000 -2.7583 17.1408
Co Mo
13 13
direct
0.0000 0.0000 0.0000
0.1999 0.7094 0.7093
0.2054 0.2054 0.7040
0.2054 0.7040 0.2054
0.2907 0.2906 0.8001
0.2907 0.8001 0.2907
0.2960 0.7946 0.7946
0.7040 0.2054 0.2054
0.7093 0.1999 0.7093
0.7093 0.7093 0.1999
0.7946 0.2960 0.7946
0.7946 0.7946 0.2960
0.8001 0.2907 0.2907
0.0818 0.0818 0.0818
0.1738 0.1738 0.1738
0.2260 0.2260 0.2260
0.2750 0.2750 0.2750
0.3265 0.3265 0.3265
0.4167 0.4167 0.4167
0.5000 0.5000 0.5000
0.5833 0.5833 0.5833
0.6735 0.6735 0.6735
0.7250 0.7250 0.7250
0.7740 0.7740 0.7740
0.8262 0.8262 0.8262
0.9182 0.9182 0.9182
```

Computed properties:
volume: 13.0 A^3/atom
formation energy: -0.03 eV/atom

=====

LaMg6V after structural relaxation. Source: the Materials Project, functional PBE.

```
LaMg6V
1.0
5.2090 0.0000 0.0000
0.0000 6.4277 0.0000
0.0000 0.0000 11.5814
Mg La V
12 2 2
direct
0.0000 0.2675 0.5832
0.0000 0.0000 0.3239
0.5000 0.7452 0.4192
0.0000 0.5000 0.8239
0.0000 0.2325 0.0832
0.5000 0.2548 0.4192
0.0000 0.5000 0.3390
0.0000 0.7675 0.0832
0.0000 0.0000 0.8390
0.5000 0.2452 0.9192
0.5000 0.7548 0.9192
0.0000 0.7325 0.5832
0.5000 0.0000 0.6674
0.5000 0.5000 0.1674
0.5000 0.5000 0.6649
0.5000 0.0000 0.1649
```

Computed properties:
volume: 24.2 A^3/atom
formation energy: 0.19 eV/atom

=====

TmTlRh2 after structural relaxation. Source: the Materials Project, functional PBE.

```
TmTlRh2
1.0
0.0000 3.3285 3.3285
3.3285 0.0000 3.3285
3.3285 3.3285 0.0000
Tm Tl Rh
1 1 2
direct
0.0000 0.0000 0.0000
0.5000 0.5000 0.5000
0.2500 0.2500 0.2500
0.7500 0.7500 0.7500
```

Computed properties:
volume: 18.4 A^3/atom
formation energy: -0.58 eV/atom

=====

YAl3Ag after structural relaxation. Source: the Materials Project, functional PBE.

```
YAl3Ag
1.0
-2.0929 2.1019 5.6626
2.0929 -2.1019 5.6626
2.0929 2.1019 -5.6626
Y Al Ag
1 3 1
direct
0.0000 0.0000 0.0000
0.2497 0.7497 0.5000
0.3900 0.3900 0.0000
0.6095 0.6095 0.0000
0.7501 0.2501 0.5000
```

Computed properties:
volume: 19.9 A^3/atom
formation energy: -0.36 eV/atom

=====

LiInSe2 after structural relaxation. Source: the Materials Project, functional PBE.

```
LiInSe2
1.0
7.3377 0.0000 0.0000
0.0000 8.5746 0.0000
0.0000 0.0000 6.9421
Li In Se
4 4 8
direct
0.0878 0.1245 0.0000
0.4122 0.6245 0.5000
0.5878 0.3755 0.0000
0.9122 0.8755 0.5000
0.0796 0.6262 0.0011
0.4204 0.1262 0.5011
0.5796 0.8738 0.0011
0.9204 0.3738 0.5011
0.0802 0.6293 0.6212
0.0825 0.1205 0.6278
0.4175 0.6205 0.1278
0.4198 0.1293 0.1212
0.5802 0.8707 0.6212
0.5825 0.3795 0.6278
0.9175 0.8795 0.1278
0.9198 0.3707 0.1212
```

Computed properties:
largest piezoelectric modulus: 0.23 C/m2
volume: 27.3 A^3/atom
MP2020-corrected energy: -4.02 eV/atom
formation energy: -1.11 eV/atom

=====

Pm2O3 after structural relaxation. Source: the Materials Project, functional PBE.

```
Pm2O3
1.0
7.2404 -1.8275 0.0000
7.2404 1.8275 0.0000
-1.6024 0.0000 8.8290
Pm O
6 9
direct
0.0322 0.0322 0.3134
0.3076 0.3076 0.3610
0.3662 0.3662 0.0106
0.6338 0.6338 0.9894
0.6924 0.6924 0.6390
0.9678 0.9678 0.6866
0.1293 0.1293 0.7853
0.1749 0.1749 0.4733
0.2021 0.2021 0.1260
0.4734 0.4734 0.8435
0.5000 0.5000 0.5000
0.5266 0.5266 0.1565
0.7979 0.7979 0.8740
0.8251 0.8251 0.5267
0.8707 0.8707 0.2147
```

Computed properties:
volume: 15.6 A^3/atom
MP2020-corrected energy: -8.67 eV/atom
formation energy: -3.81 eV/atom

=====

KDyI3 after structural relaxation. Source: the Materials Project, functional PBE.

```
KDyI3
1.0
2.1512 -7.9503 0.0000
2.1512 7.9503 0.0000
0.0000 0.0000 11.6682
K Dy I
2 2 6
direct
0.2469 0.7531 0.7500
0.7531 0.2469 0.2500
0.0000 0.0000 0.0000
0.0000 0.0000 0.5000
0.0712 0.9288 0.2500
0.3651 0.6349 0.0553
0.3651 0.6349 0.4447
0.6349 0.3651 0.5553
0.6349 0.3651 0.9447
0.9288 0.0712 0.7500
```

Computed properties:
volume: 39.9 A^3/atom
MP2020-corrected energy: -3.51 eV/atom
formation energy: -1.46 eV/atom